# 1
# NaSmTi4O12

An optimized crystal structure of NaSmTi4O12 (PBE, Materials Project).

```
NaSmTi4O12
1.0
5.4381 0.0000 0.0000
0.0000 5.4381 0.0000
0.0000 0.0000 7.8461
O Sm Ti Na
12 1 4 1
Direct
0.5000 0.0000 0.5000
0.0000 0.5000 0.5000
0.0000 0.5000 0.0000
0.7576 0.7576 0.2703
0.5000 0.0000 0.0000
0.7576 0.7576 0.7297
0.2424 0.2424 0.7297
0.7576 0.2424 0.2703
0.7576 0.2424 0.7297
0.2424 0.7576 0.7297
0.2424 0.7576 0.2703
0.2424 0.2424 0.2703
0.0000 0.0000 0.5000
0.0000 0.5000 0.2387
0.0000 0.5000 0.7613
0.5000 0.0000 0.2387
0.5000 0.0000 0.7613
0.5000 0.5000 0.0000
```

Summary:
Formation enthalpy at 0 K ... -52.22 eV/f.u.
Energy ... -7.832 eV/atom
M_tot ... 4.0 μB/cell
Theoretical density ... 4.0 Mg/m³

=====

# 2
# NaSmTiO4

An optimized crystal structure of NaSmTiO4 (PBE, Materials Project).

```
NaSmTiO4
1.0
-3.4572 1.1077 0.9126
-0.1590 -2.6613 2.6275
4.9593 8.3028 8.7096
Sm O Ti Na
2 8 2 2
Direct
0.5000 0.0000 0.8932
0.0000 0.5000 0.1068
0.0000 0.5000 0.5956
0.0000 0.0000 0.7697
0.5000 0.5000 0.7697
0.5000 0.5000 0.2303
0.0000 0.0000 0.2303
0.5000 0.0000 0.0679
0.0000 0.5000 0.9321
0.5000 0.0000 0.4044
0.0000 0.5000 0.7316
0.5000 0.0000 0.2684
0.5000 0.0000 0.5827
0.0000 0.5000 0.4173
```

Summary:
Formation enthalpy at 0 K ... -23.46 eV/f.u.
Energy ... -7.777 eV/atom
M_tot ... 0.0 μB/cell
Theoretical density ... 5.2 Mg/m³